one) A plane-wave DFT calculation with PBE-GGA was carried out for crystalline KSrPrNbO6 at its relaxed geometry.

Lattice parameters (Å, degrees): 6.1639 6.1639 6.1639 60.00 60.00 60.00
Fractional positions:
K1 0.0000 0.0000 0.0000
Sr1 0.5000 0.5000 0.5000
Pr1 0.2500 0.2500 0.2500
Nb1 0.7500 0.7500 0.7500
O1 0.5192 0.5192 0.9808
O2 0.5192 0.9808 0.5192
O3 0.5192 0.9808 0.9808
O4 0.9808 0.5192 0.5192
O5 0.9808 0.5192 0.9808
O6 0.9808 0.9808 0.5192

***

two) A plane-wave DFT calculation with PBE-GGA was carried out for crystalline KSrPrNbO6 at its relaxed geometry.

Lattice parameters (Å, degrees): 8.6626 8.6669 8.7014 90.00 90.00 90.00
Fractional positions:
K1 0.2500 0.2500 0.2500
K2 0.2500 0.7500 0.7500
K3 0.7500 0.2500 0.2500
K4 0.7500 0.7500 0.7500
Sr1 0.2500 0.2500 0.7500
Sr2 0.2500 0.7500 0.2500
Sr3 0.7500 0.2500 0.7500
Sr4 0.7500 0.7500 0.2500
Pr1 0.0000 0.0000 0.0000
Pr2 0.0000 0.5000 0.5000
Pr3 0.5000 0.0000 0.5000
Pr4 0.5000 0.5000 0.0000
Nb1 0.0000 0.0000 0.5000
Nb2 0.0000 0.5000 0.0000
Nb3 0.5000 0.0000 0.0000
Nb4 0.5000 0.5000 0.5000
O1 0.0221 0.2312 0.5378
O2 0.0221 0.2688 0.9622
O3 0.0251 0.0114 0.2694
O4 0.0251 0.4886 0.2306
O5 0.2302 0.5223 0.9806
O6 0.2302 0.9777 0.5194
O7 0.2698 0.5223 0.5194
O8 0.2698 0.9777 0.9806
O9 0.4749 0.0114 0.2306
O10 0.4749 0.4886 0.2694
O11 0.4779 0.2312 0.9622
O12 0.4779 0.2688 0.5378
O13 0.5221 0.7312 0.4622
O14 0.5221 0.7688 0.0378
O15 0.5251 0.5114 0.7306
O16 0.5251 0.9886 0.7694
O17 0.7302 0.0223 0.0194
O18 0.7302 0.4777 0.4806
O19 0.7698 0.0223 0.4806
O20 0.7698 0.4777 0.0194
O21 0.9749 0.5114 0.7694
O22 0.9749 0.9886 0.7306
O23 0.9779 0.7312 0.0378
O24 0.9779 0.7688 0.4622

***

Here are the energies relative to the best structure, in meV per atom: one) 21; two) 0.